# 1
## DyMgZn2 (r²SCAN)

Data for DyMgZn2 after structural relaxation.

Unit cell a=4.7848 b=4.7848 c=4.7848 alpha=60.00 beta=60.00 gamma=60.00
Element x y z (fractional)
Zn 0.5000 0.5000 0.5000
Mg 0.7500 0.7500 0.7500
Dy 0.2500 0.2500 0.2500
Zn 0.0000 0.0000 0.0000

Results
* energy: -13.85 eV/atom
* formation energy from the elements: -35 kJ/mol of atoms
* calculated density: 6.8 Mg/m³

# 2
## DyMn12 (r²SCAN)

Data for DyMn12 after structural relaxation.

Unit cell a=6.8276 b=6.8276 c=6.8292 alpha=98.14 beta=98.14 gamma=135.82
Element x y z (fractional)
Mn 0.5000 0.5000 0.5000
Mn 0.3537 0.0000 0.3537
Mn 0.0000 0.6463 0.6463
Mn 0.5000 0.0000 0.0000
Mn 0.0000 0.0000 0.5000
Mn 0.6463 0.0000 0.6463
Mn 0.2756 0.5001 0.7756
Mn 0.5001 0.2756 0.7756
Mn 0.0000 0.5000 0.0000
Mn 0.7244 0.4999 0.2244
Dy 0.0000 0.0000 0.0000
Mn 0.4999 0.7244 0.2244
Mn 0.0000 0.3537 0.3537

Results
* energy: -16.08 eV/atom
* formation energy from the elements: -6 kJ/mol of atoms
* calculated density: 6.6 Mg/m³

# 3
## NaSrDyMnO6 (r²SCAN)

Data for NaSrDyMnO6 after structural relaxation.

Unit cell a=5.7241 b=5.7241 c=5.7241 alpha=60.00 beta=60.00 gamma=60.00
Element x y z (fractional)
O 0.2706 0.7294 0.7294
O 0.7294 0.2706 0.7294
Sr 0.7500 0.7500 0.7500
O 0.7294 0.7294 0.2706
O 0.2706 0.7294 0.2706
Dy 0.0000 0.0000 0.0000
O 0.7294 0.2706 0.2706
O 0.2706 0.2706 0.7294
Na 0.2500 0.2500 0.2500
Mn 0.5000 0.5000 0.5000

Results
* energy: -12.48 eV/atom
* formation energy from the elements: -227 kJ/mol of atoms
* calculated density: 5.3 Mg/m³

# 4
## DyMnO3 (r²SCAN)

Data for DyMnO3 after structural relaxation.

Unit cell a=6.1360 b=6.1360 c=11.4285 alpha=90.00 beta=90.00 gamma=120.00
Element x y z (fractional)
O 0.3596 0.3596 0.3447
O 0.0000 0.0000 0.9856
Dy 0.0000 0.0000 0.2838
Mn 0.0000 0.6664 0.5079
O 0.0000 0.6404 0.3447
O 0.6936 0.0000 0.6713
O 0.3064 0.3064 0.6713
Dy 0.3333 0.6667 0.2388
O 0.0000 0.3596 0.8447
Dy 0.3333 0.6667 0.7388
O 0.6936 0.6936 0.1713
O 0.6667 0.3333 0.0267
O 0.6404 0.6404 0.8447
O 0.0000 0.3064 0.1713
Mn 0.3336 0.0000 0.0079
Dy 0.6667 0.3333 0.7388
O 0.3333 0.6667 0.0267
Mn 0.6664 0.0000 0.5079
O 0.3333 0.6667 0.5267
Mn 0.0000 0.3336 0.0079
Mn 0.6664 0.6664 0.0079
O 0.6667 0.3333 0.5267
O 0.3596 0.0000 0.8447
O 0.0000 0.0000 0.4856
O 0.3064 0.0000 0.1713
Dy 0.6667 0.3333 0.2388
O 0.6404 0.0000 0.3447
Dy 0.0000 0.0000 0.7838
Mn 0.3336 0.3336 0.5079
O 0.0000 0.6936 0.6713

Results
* energy: -16.01 eV/atom
* formation energy from the elements: -298 kJ/mol of atoms
* calculated density: 7.1 Mg/m³

# 5
## Dy4MnS7 (r²SCAN)

Data for Dy4MnS7 after structural relaxation.

Unit cell a=6.5416 b=6.5416 c=11.4478 alpha=75.64 beta=75.64 gamma=33.71
Element x y z (fractional)
Dy 0.3064 0.3064 0.8010
Dy 0.9995 0.9995 0.0059
S 0.4949 0.4949 0.4966
S 0.6595 0.6595 0.9481
Mn 0.8856 0.8856 0.4213
S 0.2679 0.2679 0.3532
Dy 0.6930 0.6930 0.2051
S 0.7436 0.7436 0.6402
S 0.9623 0.9623 0.7851
S 0.0352 0.0352 0.2246
S 0.3387 0.3387 0.0516
Dy 0.1135 0.1135 0.5675

Results
* energy: -18.73 eV/atom
* formation energy from the elements: -208 kJ/mol of atoms
* calculated density: 5.9 Mg/m³

# 6
## Dy4MnSe7 (r²SCAN)

Data for Dy4MnSe7 after structural relaxation.

Unit cell a=6.8303 b=6.8303 c=11.9950 alpha=75.66 beta=75.66 gamma=33.60
Element x y z (fractional)
Dy 0.3064 0.3064 0.8014
Se 0.9637 0.9637 0.7850
Se 0.6601 0.6601 0.9485
Dy 0.1140 0.1140 0.5672
Se 0.7440 0.7440 0.6404
Dy 0.9997 0.9997 0.0060
Se 0.4949 0.4949 0.4967
Se 0.0340 0.0340 0.2250
Se 0.2679 0.2679 0.3524
Se 0.3382 0.3382 0.0505
Dy 0.6931 0.6931 0.2040
Mn 0.8842 0.8842 0.4229

Results
* energy: -22.19 eV/atom
* formation energy from the elements: -189 kJ/mol of atoms
* calculated density: 7.0 Mg/m³

# 7
## Dy2Mn3Si5 (r²SCAN)

Data for Dy2Mn3Si5 after structural relaxation.

Unit cell a=10.6165 b=10.6165 c=5.4613 alpha=90.00 beta=90.00 gamma=90.00
Element x y z (fractional)
Dy 0.0749 0.7620 0.0000
Mn 0.6399 0.6183 0.0000
Mn 0.0000 0.5000 0.7500
Si 0.1844 0.5218 0.0000
Dy 0.7380 0.4251 0.5000
Si 0.3156 0.0218 0.5000
Si 0.0218 0.6844 0.5000
Si 0.0000 0.0000 0.7593
Si 0.6844 0.9782 0.5000
Si 0.1755 0.3245 0.7500
Si 0.8245 0.6755 0.7500
Dy 0.4251 0.2620 0.5000
Dy 0.7620 0.9251 0.0000
Dy 0.9251 0.2380 0.0000
Dy 0.2620 0.5749 0.5000
Si 0.5218 0.8156 0.0000
Si 0.6755 0.1755 0.7500
Dy 0.5749 0.7380 0.5000
Si 0.5000 0.5000 0.7407
Si 0.0000 0.0000 0.2407
Si 0.6755 0.1755 0.2500
Si 0.9782 0.3156 0.5000
Mn 0.3601 0.3817 0.0000
Si 0.4782 0.1844 0.0000
Mn 0.1183 0.1399 0.5000
Mn 0.5000 0.0000 0.7500
Si 0.3245 0.8245 0.2500
Dy 0.2380 0.0749 0.0000
Mn 0.8601 0.1183 0.5000
Si 0.8156 0.4782 0.0000
Mn 0.8817 0.8601 0.5000
Mn 0.6183 0.3601 0.0000
Si 0.5000 0.5000 0.2593
Si 0.1755 0.3245 0.2500
Mn 0.3817 0.6399 0.0000
Si 0.3245 0.8245 0.7500
Mn 0.5000 0.0000 0.2500
Mn 0.0000 0.5000 0.2500
Si 0.8245 0.6755 0.2500
Mn 0.1399 0.8817 0.5000

Results
* energy: -15.81 eV/atom
* formation energy from the elements: -60 kJ/mol of atoms
* calculated density: 6.8 Mg/m³

# 8
## DyMn2Si2 (r²SCAN)

Data for DyMn2Si2 after structural relaxation.

Unit cell a=3.8752 b=3.8752 c=5.9129 alpha=109.13 beta=109.13 gamma=90.00
Element x y z (fractional)
Mn 0.7500 0.2500 0.5000
Mn 0.2500 0.7500 0.5000
Si 0.6173 0.6173 0.2346
Dy 0.0000 0.0000 0.0000
Si 0.3827 0.3827 0.7654

Results
* energy: -16.45 eV/atom
* formation energy from the elements: -65 kJ/mol of atoms
* calculated density: 6.9 Mg/m³

# 9
## Dy2Mo4O15 (r²SCAN)

Data for Dy2Mo4O15 after structural relaxation.

Unit cell a=9.5902 b=6.7998 c=10.5687 alpha=74.63 beta=90.00 gamma=90.00
Element x y z (fractional)
Dy 0.0232 0.2881 0.2763
O 0.8648 0.2542 0.1172
O 0.7234 0.8884 0.1476
O 0.1352 0.7458 0.8828
O 0.3648 0.7458 0.3828
Mo 0.0954 0.1198 0.8439
O 0.1268 0.4779 0.3968
Mo 0.5954 0.8802 0.6561
Dy 0.4768 0.2881 0.7763
O 0.3732 0.4779 0.8968
O 0.0280 0.0537 0.7073
O 0.8474 0.2796 0.4189
O 0.7766 0.8884 0.6476
O 0.0000 0.0000 0.0000
O 0.0560 0.3773 0.8178
O 0.9720 0.9463 0.2927
O 0.2234 0.1116 0.3524
O 0.4720 0.0537 0.2073
O 0.4440 0.3773 0.3178
Mo 0.2436 0.5816 0.4889
Mo 0.7436 0.4184 0.0111
O 0.5000 0.0000 0.5000
O 0.1670 0.3822 0.0994
Mo 0.2564 0.5816 0.9889
O 0.6526 0.2796 0.9189
Dy 0.5232 0.7119 0.2237
Dy 0.9768 0.7119 0.7237
O 0.5560 0.6227 0.6822
O 0.6268 0.5221 0.1032
O 0.9440 0.6227 0.1822
Mo 0.7564 0.4184 0.5111
O 0.5280 0.9463 0.7927
Mo 0.9046 0.8802 0.1561
O 0.8732 0.5221 0.6032
O 0.3474 0.7204 0.0811
Mo 0.4046 0.1198 0.3439
O 0.8330 0.6178 0.9006
O 0.1526 0.7204 0.5811
O 0.6352 0.2542 0.6172
O 0.2766 0.1116 0.8524
O 0.6670 0.6178 0.4006
O 0.3330 0.3822 0.5994

Results
* energy: -14.92 eV/atom
* formation energy from the elements: -255 kJ/mol of atoms
* calculated density: 4.7 Mg/m³

# 10
## Dy2Mo3O12 (r²SCAN)

Data for Dy2Mo3O12 after structural relaxation.

Unit cell a=7.3453 b=7.3453 c=10.5437 alpha=90.00 beta=90.00 gamma=90.00
Element x y z (fractional)
O 0.1910 0.0402 0.0968
Mo 0.2932 0.2068 0.6446
O 0.0048 0.2248 0.2954
O 0.3057 0.1943 0.4790
Mo 0.2068 0.7068 0.3554
Mo 0.5000 0.5000 0.0000
O 0.2248 0.9952 0.7046
Dy 0.6862 0.8138 0.2612
O 0.4598 0.3090 0.0968
Dy 0.8138 0.3138 0.7388
Mo 0.0000 0.0000 0.0000
O 0.7248 0.5048 0.2954
O 0.6910 0.4598 0.9032
O 0.0402 0.8090 0.9032
O 0.2752 0.4952 0.2954
O 0.3090 0.5402 0.9032
Mo 0.7068 0.7932 0.6446
O 0.5048 0.2752 0.7046
O 0.8057 0.3057 0.5210
O 0.1943 0.6943 0.5210
O 0.8090 0.9598 0.0968
O 0.5402 0.6910 0.0968
O 0.6262 0.1262 0.3096
O 0.1262 0.3738 0.6904
O 0.9598 0.1910 0.9032
Mo 0.7932 0.2932 0.3554
O 0.6943 0.8057 0.4790
O 0.4952 0.7248 0.7046
O 0.3738 0.8738 0.3096
Dy 0.1862 0.6862 0.7388
O 0.8738 0.6262 0.6904
O 0.7752 0.0048 0.7046
Dy 0.3138 0.1862 0.2612
O 0.9952 0.7752 0.2954

Results
* energy: -15.34 eV/atom
* formation energy from the elements: -266 kJ/mol of atoms
* calculated density: 4.7 Mg/m³

# 11
## Dy2Mo2O7 (r²SCAN)

Data for Dy2Mo2O7 after structural relaxation.

Unit cell a=7.2542 b=7.2542 c=7.2542 alpha=60.00 beta=60.00 gamma=60.00
Element x y z (fractional)
Dy 0.1250 0.1250 0.6250
O 0.0000 0.0000 0.0000
Mo 0.6250 0.1250 0.6250
O 0.9621 0.9621 0.5379
O 0.2500 0.2500 0.2500
Dy 0.1250 0.6250 0.1250
O 0.9621 0.5379 0.5379
O 0.7121 0.7121 0.2879
Dy 0.1250 0.1250 0.1250
O 0.2879 0.7121 0.2879
O 0.5379 0.9621 0.5379
O 0.7121 0.2879 0.2879
O 0.5379 0.5379 0.9621
Mo 0.6250 0.6250 0.6250
Mo 0.1250 0.6250 0.6250
O 0.2879 0.2879 0.7121
O 0.7121 0.2879 0.7121
O 0.2879 0.7121 0.7121
Dy 0.6250 0.1250 0.1250
O 0.5379 0.9621 0.9621
Mo 0.6250 0.6250 0.1250
O 0.9621 0.5379 0.9621

Results
* energy: -17.29 eV/atom
* formation energy from the elements: -283 kJ/mol of atoms
* calculated density: 7.7 Mg/m³

# 12
## Dy2Si4Mo3 (r²SCAN)

Data for Dy2Si4Mo3 after structural relaxation.

Unit cell a=6.9032 b=6.7285 c=6.8406 alpha=71.16 beta=90.00 gamma=90.00
Element x y z (fractional)
Dy 0.1698 0.0624 0.8088
Si 0.1311 0.8727 0.4948
Si 0.8689 0.1273 0.5052
Si 0.0452 0.6311 0.0903
Si 0.4548 0.1311 0.0903
Si 0.9548 0.3689 0.9097
Mo 0.8375 0.7485 0.7498
Mo 0.5000 0.0000 0.5000
Mo 0.1625 0.2515 0.2502
Si 0.6311 0.6273 0.5052
Dy 0.3302 0.5624 0.8088
Dy 0.8302 0.9376 0.1912
Si 0.3689 0.3727 0.4948
Dy 0.6698 0.4376 0.1912
Mo 0.0000 0.5000 0.5000
Si 0.5452 0.8689 0.9097
Mo 0.3375 0.7515 0.2502
Mo 0.6625 0.2485 0.7498

Results
* energy: -20.39 eV/atom
* formation energy from the elements: -67 kJ/mol of atoms
* calculated density: 8.0 Mg/m³

# 13
## Dy3S3N (r²SCAN)

Data for Dy3S3N after structural relaxation.

Unit cell a=3.8112 b=11.9201 c=12.8777 alpha=90.00 beta=90.00 gamma=90.00
Element x y z (fractional)
Dy 0.2500 0.0484 0.8574
Dy 0.7500 0.9516 0.1426
S 0.7500 0.7239 0.1917
S 0.2500 0.7761 0.6917
S 0.7500 0.1326 0.0100
Dy 0.7500 0.2898 0.6409
Dy 0.7500 0.9353 0.6324
N 0.7500 0.9666 0.7980
N 0.2500 0.0334 0.2020
S 0.2500 0.8674 0.9900
S 0.7500 0.6326 0.4900
Dy 0.2500 0.7102 0.3591
Dy 0.7500 0.4516 0.3574
S 0.2500 0.5941 0.9021
S 0.2500 0.2761 0.8083
Dy 0.2500 0.5484 0.6426
Dy 0.2500 0.0647 0.3676
Dy 0.7500 0.4353 0.8676
N 0.7500 0.4666 0.7020
S 0.7500 0.9059 0.4021
S 0.7500 0.4059 0.0979
Dy 0.2500 0.5647 0.1324
S 0.2500 0.3674 0.5100
S 0.2500 0.0941 0.5979
N 0.2500 0.5334 0.2980
Dy 0.7500 0.7898 0.8591
Dy 0.2500 0.2102 0.1409
S 0.7500 0.2239 0.3083

Results
* energy: -20.76 eV/atom
* formation energy from the elements: -222 kJ/mol of atoms
* calculated density: 6.8 Mg/m³

# 14
## Dy3Se3N (r²SCAN)

Data for Dy3Se3N after structural relaxation.

Unit cell a=3.9325 b=12.5196 c=13.1645 alpha=90.00 beta=90.00 gamma=90.00
Element x y z (fractional)
Dy 0.2500 0.5603 0.1339
Dy 0.7500 0.7992 0.8566
Dy 0.2500 0.5444 0.6497
Se 0.2500 0.2775 0.8128
Se 0.2500 0.8709 0.9929
Dy 0.2500 0.0603 0.3661
Se 0.2500 0.5979 0.8990
Dy 0.2500 0.7008 0.3566
N 0.7500 0.9660 0.7967
Se 0.7500 0.9021 0.3990
Se 0.2500 0.3709 0.5071
N 0.7500 0.4660 0.7033
Se 0.7500 0.6291 0.4929
Dy 0.7500 0.4397 0.8661
Dy 0.2500 0.0444 0.8503
Se 0.7500 0.1291 0.0071
Dy 0.7500 0.9556 0.1497
Se 0.2500 0.7775 0.6872
Dy 0.7500 0.4556 0.3503
Dy 0.2500 0.2008 0.1434
Se 0.7500 0.7225 0.1872
Dy 0.7500 0.9397 0.6339
Se 0.2500 0.0979 0.6010
Se 0.7500 0.2225 0.3128
N 0.2500 0.0340 0.2033
N 0.2500 0.5340 0.2967
Dy 0.7500 0.2992 0.6434
Se 0.7500 0.4021 0.1010

Results
* energy: -23.30 eV/atom
* formation energy from the elements: -208 kJ/mol of atoms
* calculated density: 7.6 Mg/m³

# 15
## DyUN2 (r²SCAN)

Data for DyUN2 after structural relaxation.

Unit cell a=6.0846 b=6.0846 c=6.0846 alpha=32.79 beta=32.79 gamma=32.79
Element x y z (fractional)
Dy 0.5000 0.5000 0.5000
N 0.7489 0.7489 0.7489
U 0.0000 0.0000 0.0000
N 0.2511 0.2511 0.2511

Results
* energy: -34.35 eV/atom
* formation energy from the elements: -174 kJ/mol of atoms
* calculated density: 12.1 Mg/m³